A geometry-optimized Yb5Mg structure, computed with r²SCAN.

a = 6.0070 Å, b = 6.0070 Å, c = 5.5651 Å
α = 90.00°, β = 90.00°, γ = 120.00°
Closest atoms and distances in Å follow each position.
Sites, in units of the cell vectors:
Yb (0.6752, 0.6752, 0.0000)  10 Yb 3.38-3.51, 2 Mg 3.40
Yb (0.0000, 0.3248, 0.0000)  10 Yb 3.38-3.51, 2 Mg 3.40
Yb (0.3248, 0.0000, 0.0000)  10 Yb 3.38-3.51, 2 Mg 3.40
Yb (0.6667, 0.3333, 0.5000)  9 Yb 3.44-3.47, 3 Mg 3.47
Yb (0.3333, 0.6667, 0.5000)  9 Yb 3.44-3.47, 3 Mg 3.47
Mg (0.0000, 0.0000, 0.5000)  12 Yb 3.40-3.47

Results
Total magnetization   0.627 μB/atom
Energy above the lowest structure with this stoichiometry   3.0 kJ/mol of atoms
ΔH_f (0 K)   13 meV per atom
Raw total energy   -2.287 Ry per atom
Calculated volume   174 Å³ per cell

---

A geometry-optimized SmIn3 structure, computed with r²SCAN.

a = 4.6629 Å, b = 4.6629 Å, c = 4.6629 Å
α = 90.00°, β = 90.00°, γ = 90.00°
Closest atoms and distances in Å follow each position.
Sites, in units of the cell vectors:
Sm (0.0000, 0.0000, 0.0000)  12 In 3.30
In (0.0000, 0.5000, 0.5000)  8 In 3.30, 4 Sm 3.30
In (0.5000, 0.0000, 0.5000)  8 In 3.30, 4 Sm 3.30
In (0.5000, 0.5000, 0.0000)  8 In 3.30, 4 Sm 3.30

Results
Total magnetization   0.000 μB/atom
ΔH_f (0 K)   -569 meV per atom
Raw total energy   -1.833 Ry per atom
Calculated volume   101 Å³ per cell

---

A geometry-optimized MnFe2O3 structure, computed with r²SCAN.

a = 6.8594 Å, b = 6.8594 Å, c = 4.3107 Å
α = 90.00°, β = 90.00°, γ = 143.52°
Closest atoms and distances in Å follow each position.
Sites, in units of the cell vectors:
Fe (0.1660, 0.8340, 0.5000)  6 O 2.15-2.16
Fe (0.5000, 0.5000, 0.5000)  6 O 2.15-2.20
Fe (0.8340, 0.1660, 0.5000)  6 O 2.15-2.16
Fe (0.0000, 0.0000, 0.0000)  6 O 2.14-2.16
O (0.0000, 0.0000, 0.5000)  6 Fe 2.15-2.16
O (0.5000, 0.5000, 0.0000)  2 Mn 2.15, 4 Fe 2.15-2.16
O (0.1646, 0.8354, 0.0000)  3 Fe 2.14-2.16, 3 Mn 2.15-2.22
O (0.3311, 0.6689, 0.5000)  4 Fe 2.15-2.20, 2 Mn 2.16
O (0.8354, 0.1646, 0.0000)  3 Fe 2.14-2.16, 3 Mn 2.15-2.22
O (0.6689, 0.3311, 0.5000)  4 Fe 2.15-2.20, 2 Mn 2.16
Mn (0.6647, 0.3353, 0.0000)  6 O 2.15-2.22
Mn (0.3353, 0.6647, 0.0000)  6 O 2.15-2.22

Results
Total magnetization   2.133 μB/atom
ΔH_f (0 K)   -1445 meV per atom
Raw total energy   -0.859 Ry per atom
Calculated volume   121 Å³ per cell

---

A geometry-optimized NdP2 structure, computed with r²SCAN.

a = 6.5869 Å, b = 4.0379 Å, c = 10.1448 Å
α = 74.63°, β = 90.00°, γ = 90.00°
Closest atoms and distances in Å follow each position.
Sites, in units of the cell vectors:
Nd (0.1851, 0.5803, 0.1420)  9 P 2.91-3.17
Nd (0.6851, 0.4197, 0.3580)  9 P 2.91-3.17
Nd (0.8149, 0.4197, 0.8580)  9 P 2.91-3.17
Nd (0.3149, 0.5803, 0.6420)  9 P 2.91-3.17
P (0.3382, 0.9666, 0.3376)  1 P 2.21
P (0.1618, 0.9666, 0.8376)  1 P 2.21
P (0.6618, 0.0334, 0.6624)  1 P 2.21
P (0.8794, 0.8058, 0.5458)  2 P 2.21-2.25
P (0.1206, 0.1942, 0.4542)  2 P 2.21-2.25
P (0.6206, 0.8058, 0.0458)  2 P 2.21-2.25
P (0.3794, 0.1942, 0.9542)  2 P 2.21-2.25
P (0.8382, 0.0334, 0.1624)  1 P 2.21

Results
Total magnetization   0.000 μB/atom
ΔH_f (0 K)   -1190 meV per atom
Raw total energy   -1.249 Ry per atom
Calculated volume   260 Å³ per cell

---

A geometry-optimized Er2CuAu structure, computed with r²SCAN.

a = 4.9196 Å, b = 4.9196 Å, c = 4.9196 Å
α = 60.00°, β = 60.00°, γ = 60.00°
Closest atoms and distances in Å follow each position.
Sites, in units of the cell vectors:
Er (0.7500, 0.7500, 0.7500)  4 Cu 3.01, 4 Au 3.01
Er (0.2500, 0.2500, 0.2500)  4 Cu 3.01, 4 Au 3.01
Au (0.5000, 0.5000, 0.5000)  8 Er 3.01
Cu (0.0000, 0.0000, 0.0000)  8 Er 3.01

Results
Total magnetization   0.000 μB/atom
ΔH_f (0 K)   -618 meV per atom
Raw total energy   -2.421 Ry per atom
Calculated volume   84 Å³ per cell

---

A geometry-optimized K3V3O8 structure, computed with r²SCAN.

a = 5.6382 Å, b = 9.2830 Å, c = 9.2877 Å
α = 63.46°, β = 72.34°, γ = 72.33°
Closest atoms and distances in Å follow each position.
Sites, in units of the cell vectors:
O (0.9214, 0.7474, 0.9127)  1 V 1.75
O (0.5808, 0.2527, 0.0875)  1 V 1.75
O (0.0161, 0.3169, 0.6507)  1 V 1.66
O (0.4192, 0.7473, 0.9125)  1 V 1.75
O (0.4213, 0.2474, 0.4127)  1 V 1.75
O (0.5786, 0.7526, 0.5873)  1 V 1.75
O (0.9192, 0.2473, 0.4125)  1 V 1.75
O (0.0787, 0.2526, 0.0873)  1 V 1.75
O (0.4839, 0.1831, 0.8493)  1 V 1.66
O (0.3293, 0.5042, 0.8367)  1 V 1.75
O (0.5161, 0.8169, 0.1507)  1 V 1.66
O (0.8293, 0.0042, 0.3367)  1 V 1.75
O (0.6707, 0.4958, 0.1633)  1 V 1.75
O (0.0808, 0.7527, 0.5875)  1 V 1.75
O (0.1707, 0.9958, 0.6633)  1 V 1.75
O (0.9839, 0.6831, 0.3493)  1 V 1.66
K (0.0000, 0.0000, 0.0000)  12 O 2.98-3.27
K (0.6579, 0.0091, 0.6753)  7 O 2.57-2.83
K (0.1579, 0.5091, 0.1753)  7 O 2.57-2.83
K (0.3421, 0.9909, 0.3247)  7 O 2.57-2.83
K (0.5000, 0.5000, 0.5000)  12 O 2.98-3.27
K (0.8421, 0.4909, 0.8247)  7 O 2.57-2.83
V (0.6288, 0.7048, 0.0378)  4 O 1.66-1.75
V (0.7500, 0.2500, 0.2500)  6 O 2.00
V (0.2500, 0.7500, 0.7500)  6 O 2.00
V (0.1288, 0.2049, 0.5378)  4 O 1.66-1.75
V (0.3712, 0.2951, 0.9622)  4 O 1.66-1.75
V (0.8712, 0.7952, 0.4622)  4 O 1.66-1.75

Results
Total magnetization   0.143 μB/atom
ΔH_f (0 K)   -2533 meV per atom
Raw total energy   -0.754 Ry per atom
Calculated volume   406 Å³ per cell